Entry 1:
An optimized crystal structure of ThMn4Al8, computed with PBE-GGA.

abc: 6.757 6.757 6.757
angles: 97.73 97.73 136.97
Positions (direct):
Th 0.000 0.000 0.000
Mn 0.000 0.000 0.500
Mn 0.000 0.500 0.000
Mn 0.500 0.000 0.000
Mn 0.500 0.500 0.500
Al 0.000 0.345 0.345
Al 0.000 0.655 0.655
Al 0.277 0.500 0.777
Al 0.345 0.000 0.345
Al 0.500 0.277 0.777
Al 0.500 0.723 0.223
Al 0.655 0.000 0.655
Al 0.723 0.500 0.223

Values from the calculation:
formation enthalpy at 0 K: -308 meV/atom


Entry 2:
An optimized crystal structure of LaAl3Au, computed with PBE-GGA.

abc: 6.304 6.304 6.304
angles: 139.38 139.38 58.80
Positions (direct):
La 0.000 0.000 0.000
Al 0.262 0.762 0.500
Al 0.410 0.410 0.000
Al 0.762 0.262 0.500
Au 0.639 0.639 0.000

Values from the calculation:
formation enthalpy at 0 K: -661 meV/atom


Entry 3:
An optimized crystal structure of Na2SiGe2P2O12, computed with PBE-GGA.

abc: 8.514 8.514 21.696
angles: 90.03 90.03 60.22
Positions (direct):
Na 0.000 0.000 0.000
Na 0.000 0.000 0.500
Na 0.031 0.665 0.584
Na 0.327 0.342 0.167
Na 0.331 0.969 0.918
Na 0.342 0.327 0.667
Na 0.366 0.999 0.250
Na 0.665 0.031 0.084
Na 0.665 0.668 0.333
Na 0.668 0.665 0.833
Na 0.969 0.331 0.418
Na 0.999 0.366 0.750
Si 0.037 0.338 0.916
Si 0.338 0.037 0.416
Si 0.373 0.952 0.083
Si 0.716 0.999 0.250
Si 0.952 0.373 0.583
Si 0.999 0.716 0.750
Ge 0.001 0.993 0.353
Ge 0.003 0.998 0.147
Ge 0.325 0.330 0.020
Ge 0.327 0.341 0.813
Ge 0.330 0.325 0.520
Ge 0.341 0.327 0.313
Ge 0.660 0.668 0.480
Ge 0.668 0.660 0.980
Ge 0.668 0.669 0.686
Ge 0.669 0.668 0.186
Ge 0.993 0.001 0.853
Ge 0.998 0.003 0.647
P 0.047 0.622 0.416
P 0.286 0.706 0.250
P 0.292 0.993 0.750
P 0.332 0.616 0.917
P 0.382 0.665 0.584
P 0.616 0.332 0.417
P 0.622 0.047 0.916
P 0.661 0.957 0.583
P 0.665 0.382 0.084
P 0.706 0.286 0.750
P 0.957 0.661 0.083
P 0.993 0.292 0.250
O 0.026 0.151 0.908
O 0.027 0.810 0.411
O 0.036 0.799 0.687
O 0.042 0.164 0.194
O 0.126 0.369 0.854
O 0.130 0.496 0.360
O 0.146 0.495 0.076
O 0.150 0.363 0.577
O 0.151 0.026 0.408
O 0.161 0.543 0.476
O 0.164 0.042 0.694
O 0.165 0.310 0.256
O 0.165 0.808 0.911
O 0.169 0.790 0.192
O 0.173 0.285 0.975
O 0.174 0.974 0.091
O 0.176 0.512 0.755
O 0.189 0.832 0.589
O 0.209 0.833 0.307
O 0.210 0.961 0.809
O 0.285 0.173 0.475
O 0.297 0.534 0.975
O 0.301 0.520 0.258
O 0.310 0.165 0.756
O 0.358 0.496 0.576
O 0.363 0.150 0.077
O 0.369 0.126 0.354
O 0.372 0.499 0.859
O 0.459 0.704 0.525
O 0.464 0.831 0.021
O 0.475 0.689 0.243
O 0.477 0.823 0.742
O 0.495 0.146 0.576
O 0.496 0.130 0.860
O 0.496 0.358 0.076
O 0.498 0.630 0.642
O 0.499 0.372 0.359
O 0.499 0.643 0.923
O 0.504 0.870 0.143
O 0.512 0.176 0.255
O 0.516 0.840 0.424
O 0.520 0.301 0.758
O 0.534 0.297 0.475
O 0.543 0.161 0.976
O 0.624 0.876 0.641
O 0.630 0.498 0.142
O 0.635 0.859 0.923
O 0.643 0.499 0.423
O 0.688 0.822 0.243
O 0.689 0.475 0.743
O 0.704 0.459 0.025
O 0.707 0.832 0.526
O 0.790 0.169 0.692
O 0.799 0.036 0.187
O 0.808 0.165 0.411
O 0.810 0.027 0.911
O 0.822 0.688 0.743
O 0.823 0.477 0.242
O 0.831 0.464 0.521
O 0.832 0.189 0.089
O 0.832 0.707 0.026
O 0.833 0.209 0.807
O 0.836 0.970 0.590
O 0.840 0.516 0.924
O 0.841 0.960 0.310
O 0.859 0.635 0.423
O 0.870 0.504 0.643
O 0.876 0.624 0.141
O 0.960 0.841 0.810
O 0.961 0.210 0.309
O 0.970 0.836 0.090
O 0.974 0.174 0.591

Values from the calculation:
formation enthalpy at 0 K: -2507 meV/atom


Entry 4:
An optimized crystal structure of ZnFe2S4, computed with PBE-GGA.

abc: 6.847 6.847 6.847
angles: 60.00 60.00 60.00
Positions (direct):
Zn 0.125 0.125 0.125
Zn 0.875 0.875 0.875
Fe 0.000 0.500 0.500
Fe 0.500 0.000 0.500
Fe 0.500 0.500 0.000
Fe 0.500 0.500 0.500
S 0.264 0.264 0.264
S 0.264 0.264 0.707
S 0.264 0.707 0.264
S 0.293 0.736 0.736
S 0.707 0.264 0.264
S 0.736 0.293 0.736
S 0.736 0.736 0.293
S 0.736 0.736 0.736

Values from the calculation:
formation enthalpy at 0 K: -733 meV/atom


Entry 5:
An optimized crystal structure of CeCu6, computed with PBE-GGA.

abc: 8.060 5.026 10.093
angles: 90.00 90.00 90.00
Positions (direct):
Ce 0.241 0.250 0.065
Ce 0.259 0.750 0.565
Ce 0.741 0.250 0.435
Ce 0.759 0.750 0.935
Cu 0.062 0.750 0.095
Cu 0.065 0.005 0.308
Cu 0.065 0.495 0.308
Cu 0.100 0.250 0.516
Cu 0.146 0.750 0.857
Cu 0.183 0.250 0.756
Cu 0.317 0.750 0.256
Cu 0.354 0.250 0.357
Cu 0.400 0.750 0.016
Cu 0.435 0.505 0.808
Cu 0.435 0.995 0.808
Cu 0.438 0.250 0.595
Cu 0.562 0.750 0.405
Cu 0.565 0.005 0.192
Cu 0.565 0.495 0.192
Cu 0.600 0.250 0.984
Cu 0.646 0.750 0.643
Cu 0.683 0.250 0.744
Cu 0.817 0.750 0.244
Cu 0.854 0.250 0.143
Cu 0.900 0.750 0.484
Cu 0.935 0.505 0.692
Cu 0.935 0.995 0.692
Cu 0.938 0.250 0.905

Values from the calculation:
formation enthalpy at 0 K: -111 meV/atom


Entry 6:
An optimized crystal structure of NaEuP2O7, computed with PBE-GGA.

abc: 5.355 8.617 13.713
angles: 90.00 111.61 90.00
Positions (direct):
Na 0.141 0.115 0.422
Na 0.141 0.385 0.922
Na 0.859 0.615 0.078
Na 0.859 0.885 0.578
Eu 0.462 0.195 0.733
Eu 0.462 0.305 0.233
Eu 0.538 0.695 0.767
Eu 0.538 0.805 0.267
P 0.080 0.506 0.318
P 0.080 0.994 0.818
P 0.230 0.743 0.967
P 0.230 0.757 0.467
P 0.770 0.243 0.533
P 0.770 0.257 0.033
P 0.920 0.006 0.182
P 0.920 0.494 0.682
O 0.041 0.160 0.585
O 0.041 0.340 0.085
O 0.133 0.168 0.825
O 0.133 0.332 0.325
O 0.188 0.574 0.436
O 0.188 0.926 0.936
O 0.223 0.043 0.232
O 0.223 0.457 0.732
O 0.249 0.577 0.259
O 0.249 0.923 0.759
O 0.311 0.740 0.086
O 0.311 0.760 0.586
O 0.443 0.677 0.929
O 0.443 0.823 0.429
O 0.557 0.177 0.571
O 0.557 0.323 0.071
O 0.689 0.240 0.414
O 0.689 0.260 0.914
O 0.751 0.077 0.241
O 0.751 0.423 0.741
O 0.777 0.543 0.268
O 0.777 0.957 0.768
O 0.812 0.074 0.064
O 0.812 0.426 0.564
O 0.867 0.668 0.675
O 0.867 0.832 0.175
O 0.959 0.660 0.915
O 0.959 0.840 0.415

Values from the calculation:
formation enthalpy at 0 K: -2947 meV/atom